(1)
Entry from the Materials Project database: crystalline LiMn4P3O12 at its relaxed geometry (PBE+U).

Cell: 9.004 9.004 6.732 Å, 107.13 107.13 94.65°
Fractional positions:
Li 0.001 0.999 0.750
Li 0.999 0.001 0.250
Mn 0.061 0.369 0.628
Mn 0.261 0.739 0.250
Mn 0.369 0.061 0.128
Mn 0.497 0.503 0.750
Mn 0.503 0.497 0.250
Mn 0.631 0.939 0.872
Mn 0.739 0.261 0.750
Mn 0.939 0.631 0.372
P 0.114 0.334 0.121
P 0.288 0.712 0.750
P 0.334 0.114 0.621
P 0.666 0.886 0.379
P 0.712 0.288 0.250
P 0.886 0.666 0.879
O 0.007 0.681 0.108
O 0.045 0.395 0.307
O 0.154 0.166 0.100
O 0.166 0.154 0.600
O 0.184 0.737 0.540
O 0.263 0.462 0.168
O 0.263 0.816 0.960
O 0.269 0.537 0.754
O 0.319 0.993 0.392
O 0.395 0.045 0.807
O 0.462 0.263 0.668
O 0.463 0.731 0.746
O 0.537 0.269 0.254
O 0.538 0.737 0.332
O 0.605 0.955 0.193
O 0.681 0.007 0.608
O 0.731 0.463 0.246
O 0.737 0.184 0.040
O 0.737 0.538 0.832
O 0.816 0.263 0.460
O 0.834 0.846 0.400
O 0.846 0.834 0.900
O 0.955 0.605 0.693
O 0.993 0.319 0.892

Results
**Calculated formation energy**: -2.51 eV per atom
**Crystal system**: monoclinic
**Energy relative to the lowest polymorph listed for this composition**: 0.0386 eV per atom



(2)
Entry from the Materials Project database: crystalline Li3Mn2P4O14 at its relaxed geometry (PBE+U).

Cell: 9.859 9.873 11.339 Å, 76.72 89.55 89.57°
Fractional positions:
Li 0.000 0.000 0.000
Li 0.005 0.439 0.008
Li 0.178 0.234 0.484
Li 0.297 0.938 0.007
Li 0.302 0.498 0.997
Li 0.310 0.537 0.480
Li 0.494 0.167 0.593
Li 0.511 0.763 0.066
Li 0.621 0.473 0.586
Li 0.793 0.265 0.065
Li 0.856 0.729 0.540
Li 0.952 0.983 0.526
Mn 0.117 0.603 0.214
Mn 0.188 0.099 0.215
Mn 0.326 0.651 0.706
Mn 0.479 0.054 0.362
Mn 0.619 0.599 0.866
Mn 0.683 0.093 0.868
Mn 0.826 0.552 0.361
Mn 0.975 0.153 0.708
P 0.048 0.474 0.610
P 0.112 0.732 0.925
P 0.193 0.232 0.922
P 0.256 0.973 0.613
P 0.332 0.787 0.278
P 0.356 0.370 0.283
P 0.448 0.330 0.790
P 0.473 0.913 0.793
P 0.549 0.734 0.456
P 0.613 0.473 0.157
P 0.690 0.973 0.153
P 0.754 0.232 0.459
P 0.829 0.414 0.792
P 0.860 0.836 0.784
P 0.943 0.866 0.287
P 0.973 0.286 0.279
O 0.001 0.752 0.818
O 0.042 0.945 0.191
O 0.058 0.621 0.034
O 0.062 0.319 0.603
O 0.069 0.171 0.870
O 0.080 0.184 0.347
O 0.114 0.038 0.617
O 0.131 0.872 0.955
O 0.172 0.373 0.950
O 0.188 0.535 0.619
O 0.231 0.679 0.344
O 0.236 0.671 0.871
O 0.246 0.122 0.032
O 0.249 0.821 0.603
O 0.264 0.448 0.180
O 0.305 0.251 0.814
O 0.309 0.376 0.410
O 0.316 0.931 0.308
O 0.325 0.975 0.740
O 0.337 0.790 0.144
O 0.343 0.070 0.515
O 0.373 0.216 0.269
O 0.428 0.482 0.812
O 0.463 0.635 0.553
O 0.465 0.909 0.927
O 0.482 0.730 0.329
O 0.483 0.333 0.659
O 0.488 0.769 0.762
O 0.499 0.446 0.267
O 0.545 0.575 0.046
O 0.549 0.253 0.883
O 0.553 0.886 0.466
O 0.574 0.042 0.209
O 0.577 0.022 0.731
O 0.612 0.173 0.453
O 0.645 0.336 0.128
O 0.661 0.839 0.118
O 0.692 0.671 0.455
O 0.719 0.514 0.727
O 0.726 0.544 0.212
O 0.741 0.388 0.467
O 0.751 0.761 0.869
O 0.760 0.077 0.043
O 0.800 0.944 0.261
O 0.815 0.267 0.766
O 0.825 0.231 0.331
O 0.835 0.417 0.925
O 0.845 0.147 0.557
O 0.847 0.846 0.651
O 0.876 0.986 0.814
O 0.930 0.714 0.266
O 0.955 0.559 0.512
O 0.970 0.283 0.146
O 0.970 0.865 0.418
O 0.975 0.473 0.738
O 0.989 0.432 0.306

Results
**Calculated formation energy**: -2.60 eV per atom
**Crystal system**: triclinic
**Energy relative to the lowest polymorph listed for this composition**: 0.0189 eV per atom



(3)
Entry from the Materials Project database: crystalline LiMn2P3O12 at its relaxed geometry (PBE+U).

Cell: 8.449 8.536 14.415 Å, 90.00 125.44 90.00°
Fractional positions:
Li 0.031 0.221 0.322
Li 0.031 0.279 0.822
Li 0.969 0.721 0.178
Li 0.969 0.779 0.678
Mn 0.139 0.537 0.386
Mn 0.139 0.963 0.886
Mn 0.371 0.539 0.121
Mn 0.371 0.961 0.621
Mn 0.629 0.039 0.379
Mn 0.629 0.461 0.879
Mn 0.861 0.037 0.114
Mn 0.861 0.463 0.614
P 0.043 0.110 0.643
P 0.043 0.390 0.143
P 0.254 0.612 0.648
P 0.254 0.888 0.148
P 0.468 0.249 0.499
P 0.468 0.251 0.999
P 0.532 0.749 0.001
P 0.532 0.751 0.501
P 0.746 0.112 0.852
P 0.746 0.388 0.352
P 0.957 0.610 0.857
P 0.957 0.890 0.357
O 0.021 0.226 0.181
O 0.021 0.274 0.681
O 0.055 0.512 0.228
O 0.055 0.988 0.728
O 0.084 0.595 0.661
O 0.084 0.905 0.161
O 0.134 0.563 0.973
O 0.134 0.937 0.473
O 0.177 0.580 0.524
O 0.177 0.920 0.024
O 0.232 0.112 0.651
O 0.232 0.388 0.151
O 0.269 0.163 0.932
O 0.269 0.337 0.432
O 0.313 0.715 0.181
O 0.313 0.785 0.681
O 0.365 0.638 0.419
O 0.365 0.862 0.919
O 0.413 0.010 0.223
O 0.413 0.490 0.723
O 0.462 0.128 0.575
O 0.462 0.372 0.075
O 0.483 0.181 0.406
O 0.483 0.319 0.906
O 0.517 0.681 0.094
O 0.517 0.819 0.594
O 0.538 0.628 0.925
O 0.538 0.872 0.425
O 0.587 0.510 0.277
O 0.587 0.990 0.777
O 0.635 0.138 0.081
O 0.635 0.362 0.581
O 0.687 0.215 0.319
O 0.687 0.285 0.819
O 0.731 0.663 0.568
O 0.731 0.837 0.068
O 0.768 0.612 0.849
O 0.768 0.888 0.349
O 0.823 0.080 0.976
O 0.823 0.420 0.476
O 0.866 0.063 0.527
O 0.866 0.437 0.027
O 0.916 0.095 0.839
O 0.916 0.405 0.339
O 0.945 0.012 0.272
O 0.945 0.488 0.772
O 0.979 0.726 0.319
O 0.979 0.774 0.819

Results
**Calculated formation energy**: -2.36 eV per atom
**Crystal system**: monoclinic
**Energy relative to the lowest polymorph listed for this composition**: 0.0159 eV per atom



(4)
Entry from the Materials Project database: crystalline LiMnPO4 at its relaxed geometry (PBE+U).

Cell: 7.776 7.776 9.874 Å, 90.00 90.00 120.00°
Fractional positions:
Li 0.034 0.592 0.000
Li 0.408 0.443 0.000
Li 0.443 0.408 0.500
Li 0.557 0.966 0.000
Li 0.592 0.034 0.500
Li 0.966 0.557 0.500
Mn 0.053 0.285 0.777
Mn 0.232 0.947 0.777
Mn 0.285 0.053 0.277
Mn 0.715 0.768 0.777
Mn 0.768 0.715 0.277
Mn 0.947 0.232 0.277
P 0.000 0.000 0.012
P 0.000 0.000 0.512
P 0.333 0.667 0.284
P 0.333 0.667 0.686
P 0.667 0.333 0.186
P 0.667 0.333 0.784
O 0.000 0.000 0.173
O 0.000 0.000 0.673
O 0.079 0.865 0.960
O 0.124 0.515 0.341
O 0.135 0.214 0.960
O 0.186 0.733 0.634
O 0.214 0.135 0.460
O 0.267 0.453 0.634
O 0.333 0.667 0.127
O 0.333 0.667 0.843
O 0.392 0.876 0.341
O 0.453 0.267 0.134
O 0.485 0.608 0.341
O 0.515 0.124 0.841
O 0.547 0.814 0.634
O 0.608 0.485 0.841
O 0.667 0.333 0.343
O 0.667 0.333 0.627
O 0.733 0.186 0.134
O 0.786 0.921 0.960
O 0.814 0.547 0.134
O 0.865 0.079 0.460
O 0.876 0.392 0.841
O 0.921 0.786 0.460

Results
**Calculated formation energy**: -2.54 eV per atom
**Crystal system**: trigonal
**Energy relative to the lowest polymorph listed for this composition**: 0.0979 eV per atom



(5)
Entry from the Materials Project database: crystalline Li4Mn7P6O24 at its relaxed geometry (PBE+U).

Cell: 9.072 9.072 6.710 Å, 99.10 99.10 103.55°
Fractional positions:
Li 0.000 0.000 0.000
Li 0.240 0.471 0.094
Li 0.471 0.240 0.094
Li 0.672 0.672 0.175
Mn 0.227 0.527 0.597
Mn 0.242 0.880 0.428
Mn 0.520 0.881 0.809
Mn 0.527 0.227 0.597
Mn 0.873 0.873 0.600
Mn 0.880 0.242 0.428
Mn 0.881 0.520 0.809
P 0.162 0.777 0.903
P 0.196 0.196 0.712
P 0.554 0.554 0.537
P 0.593 0.969 0.320
P 0.777 0.162 0.903
P 0.969 0.593 0.320
O 0.070 0.070 0.760
O 0.119 0.295 0.575
O 0.133 0.569 0.301
O 0.159 0.601 0.892
O 0.223 0.886 0.114
O 0.264 0.829 0.746
O 0.295 0.119 0.575
O 0.303 0.303 0.909
O 0.437 0.437 0.356
O 0.464 0.638 0.678
O 0.494 0.915 0.480
O 0.551 0.845 0.119
O 0.569 0.133 0.301
O 0.601 0.159 0.892
O 0.638 0.464 0.678
O 0.674 0.674 0.466
O 0.770 0.999 0.403
O 0.773 0.987 0.839
O 0.829 0.264 0.746
O 0.845 0.551 0.119
O 0.886 0.223 0.114
O 0.915 0.494 0.480
O 0.987 0.773 0.839
O 0.999 0.770 0.403

Results
**Calculated formation energy**: -2.55 eV per atom
**Crystal system**: monoclinic
**Energy relative to the lowest polymorph listed for this composition**: 0.0013 eV per atom



(6)
Entry from the Materials Project database: crystalline LiMn3P3O12 at its relaxed geometry (PBE+U).

Cell: 8.654 8.654 6.728 Å, 109.10 109.10 89.25°
Fractional positions:
Li 0.000 0.000 0.000
Li 0.000 0.000 0.500
Mn 0.115 0.433 0.852
Mn 0.241 0.759 0.750
Mn 0.433 0.115 0.352
Mn 0.567 0.885 0.648
Mn 0.759 0.241 0.250
Mn 0.885 0.567 0.148
P 0.149 0.365 0.367
P 0.212 0.788 0.250
P 0.365 0.149 0.867
P 0.635 0.851 0.133
P 0.788 0.212 0.750
P 0.851 0.635 0.633
O 0.021 0.221 0.304
O 0.037 0.773 0.265
O 0.090 0.456 0.188
O 0.169 0.497 0.597
O 0.221 0.021 0.804
O 0.227 0.963 0.235
O 0.234 0.666 0.035
O 0.308 0.319 0.870
O 0.319 0.308 0.370
O 0.334 0.766 0.465
O 0.456 0.090 0.688
O 0.497 0.169 0.097
O 0.503 0.831 0.903
O 0.544 0.910 0.312
O 0.666 0.234 0.535
O 0.681 0.692 0.630
O 0.692 0.681 0.130
O 0.766 0.334 0.965
O 0.773 0.037 0.765
O 0.779 0.979 0.196
O 0.831 0.503 0.403
O 0.910 0.544 0.812
O 0.963 0.227 0.735
O 0.979 0.779 0.696

Results
**Calculated formation energy**: -2.50 eV per atom
**Crystal system**: monoclinic
**Energy relative to the lowest polymorph listed for this composition**: 0.0000 eV per atom



(7)
Entry from the Materials Project database: crystalline LiMnPO4 at its relaxed geometry (PBE+U).

Cell: 10.293 5.115 6.904 Å, 90.00 90.00 90.00°
Fractional positions:
Li 0.152 0.188 0.000
Li 0.348 0.688 0.500
Li 0.652 0.312 0.000
Li 0.848 0.812 0.500
Mn 0.153 0.189 0.500
Mn 0.347 0.689 0.000
Mn 0.653 0.311 0.500
Mn 0.847 0.811 0.000
P 0.095 0.686 0.750
P 0.405 0.186 0.250
P 0.595 0.814 0.750
P 0.905 0.314 0.250
O 0.051 0.244 0.246
O 0.117 0.384 0.754
O 0.159 0.807 0.934
O 0.162 0.796 0.564
O 0.338 0.296 0.064
O 0.341 0.307 0.434
O 0.383 0.884 0.254
O 0.449 0.744 0.746
O 0.551 0.256 0.246
O 0.617 0.116 0.754
O 0.659 0.693 0.934
O 0.662 0.704 0.564
O 0.838 0.204 0.064
O 0.841 0.193 0.434
O 0.883 0.616 0.254
O 0.949 0.756 0.746

Results
**Largest piezoelectric modulus**: 0.2 C/m²
**Calculated formation energy**: -2.62 eV per atom
**Crystal system**: orthorhombic
**Energy relative to the lowest polymorph listed for this composition**: 0.0117 eV per atom



| no. | V (Å³ per cell) |
| --- | --- |
| 1 | 489.9 |
| 2 | 1074.1 |
| 3 | 847.0 |
| 4 | 517.0 |
| 5 | 519.1 |
| 6 | 447.5 |
| 7 | 363.5 |